No. 1
A plane-wave DFT calculation with PBE-GGA was carried out for crystalline UNCl at its relaxed geometry.

Values from the calculation:
* ΔH_f (0 K): -1.794 eV per atom
* crystal system: tetragonal
* VASP energy: -52.49 eV per cell

Lattice parameters (Å, degrees): 3.8702 3.8702 7.1465 90.00 90.00 90.00
Fractional positions:
N  0.5000  0.5000  0.0000
Cl  0.5000  0.0000  0.6277
U  0.5000  0.0000  0.1618
U  0.0000  0.5000  0.8382
N  0.0000  0.0000  0.0000
Cl  0.0000  0.5000  0.3723

***

No. 2
A plane-wave DFT calculation with PBE-GGA was carried out for crystalline U2NCl2 at its relaxed geometry.

Values from the calculation:
* ΔH_f (0 K): -0.545 eV per atom
* crystal system: tetragonal
* VASP energy: -36.11 eV per cell

Lattice parameters (Å, degrees): 3.4421 3.4421 12.9961 90.00 90.00 90.00
Fractional positions:
N  0.5000  0.5000  0.0000
Cl  0.5000  0.5000  0.6569
Cl  0.5000  0.5000  0.3431
U  0.5000  0.5000  0.1532
U  0.5000  0.5000  0.8468